# Mg14CdFeO16

Mg14CdFeO16 after structural relaxation (GGA+U, Materials Project).

Properties
ΔE_f: -2.82 eV per atom
Magnetic moment: 4.0 μB/cell
Space group: Pmmm
DFT total energy: -187.80 eV per cell

a b c (Å): 4.323 8.603 8.631
angles (deg): 90.00 90.00 90.00
Fractional coordinates of all 32 atoms:
Mg  0.000  0.000  0.000
Mg  0.000  0.247  0.246
Mg  0.000  0.247  0.754
Mg  0.000  0.500  0.000
Mg  0.000  0.753  0.246
Mg  0.000  0.753  0.754
Mg  0.500  0.000  0.250
Mg  0.500  0.000  0.750
Mg  0.500  0.245  0.500
Mg  0.500  0.249  0.000
Mg  0.500  0.500  0.245
Mg  0.500  0.500  0.755
Mg  0.500  0.751  0.000
Mg  0.500  0.755  0.500
Cd  0.000  0.500  0.500
Fe  0.000  0.000  0.500
O  0.000  0.000  0.241
O  0.000  0.000  0.759
O  0.000  0.236  0.500
O  0.000  0.249  0.000
O  0.000  0.500  0.235
O  0.000  0.500  0.765
O  0.000  0.751  0.000
O  0.000  0.764  0.500
O  0.500  0.000  0.000
O  0.500  0.000  0.500
O  0.500  0.251  0.251
O  0.500  0.251  0.749
O  0.500  0.500  0.000
O  0.500  0.500  0.500
O  0.500  0.749  0.251
O  0.500  0.749  0.749